# 1
Compound: U5ClO12
Source: the Materials Project database
Functional: PBE-GGA
Structure: optimized geometry

Formation energy: -3594 meV per atom
SG: No. 51
E_tot: -9.67 eV/atom

Cell lengths 19.826, 4.165, 7.154 Å; angles 90.00, 90.00, 90.00 degrees
Fractional coordinates of all 36 atoms:
U 0.070 0.000 0.168
U 0.146 0.000 0.713
U 0.250 0.000 0.261
U 0.354 0.000 0.713
U 0.430 0.000 0.168
U 0.570 0.000 0.832
U 0.646 0.000 0.287
U 0.750 0.000 0.739
U 0.854 0.000 0.287
U 0.930 0.000 0.832
Cl 0.000 0.000 0.500
Cl 0.500 0.000 0.500
O 0.049 0.000 0.875
O 0.070 0.500 0.175
O 0.145 0.000 0.396
O 0.145 0.500 0.713
O 0.171 0.000 0.026
O 0.250 0.000 0.627
O 0.250 0.500 0.268
O 0.329 0.000 0.026
O 0.355 0.000 0.396
O 0.355 0.500 0.713
O 0.430 0.500 0.175
O 0.451 0.000 0.875
O 0.549 0.000 0.125
O 0.570 0.500 0.825
O 0.645 0.000 0.604
O 0.645 0.500 0.287
O 0.671 0.000 0.974
O 0.750 0.000 0.373
O 0.750 0.500 0.732
O 0.829 0.000 0.974
O 0.855 0.000 0.604
O 0.855 0.500 0.287
O 0.930 0.500 0.825
O 0.951 0.000 0.125


# 2
Compound: U2ClO9
Source: the Materials Project database
Functional: PBE-GGA
Structure: optimized geometry

Formation energy: -1822 meV per atom
SG: No. 14
E_tot: -7.05 eV/atom

Cell lengths 9.871, 10.044, 12.438 Å; angles 90.00, 120.60, 90.00 degrees
Fractional coordinates of all 48 atoms:
U 0.023 0.066 0.364
U 0.023 0.434 0.864
U 0.365 0.627 0.097
U 0.365 0.873 0.597
U 0.635 0.127 0.403
U 0.635 0.373 0.903
U 0.977 0.566 0.136
U 0.977 0.934 0.636
Cl 0.270 0.703 0.277
Cl 0.270 0.797 0.777
Cl 0.730 0.203 0.223
Cl 0.730 0.297 0.723
O 0.049 0.128 0.234
O 0.049 0.372 0.734
O 0.082 0.084 0.719
O 0.082 0.416 0.219
O 0.119 0.211 0.463
O 0.119 0.289 0.963
O 0.124 0.561 0.045
O 0.124 0.939 0.545
O 0.263 0.524 0.930
O 0.263 0.976 0.430
O 0.307 0.699 0.556
O 0.307 0.801 0.056
O 0.430 0.217 0.224
O 0.430 0.283 0.724
O 0.441 0.030 0.685
O 0.441 0.470 0.185
O 0.443 0.158 0.413
O 0.443 0.342 0.913
O 0.557 0.658 0.087
O 0.557 0.842 0.587
O 0.559 0.530 0.815
O 0.559 0.970 0.315
O 0.570 0.717 0.276
O 0.570 0.783 0.776
O 0.693 0.199 0.944
O 0.693 0.301 0.444
O 0.737 0.024 0.570
O 0.737 0.476 0.070
O 0.876 0.061 0.455
O 0.876 0.439 0.955
O 0.881 0.711 0.037
O 0.881 0.789 0.537
O 0.918 0.584 0.781
O 0.918 0.916 0.281
O 0.951 0.628 0.266
O 0.951 0.872 0.766


> Which formula does entry 2 have?

U2ClO9


> What is the E_tot in the first record?

-9.67 eV/atom